Entry 1:
# Fe10O9F11, relaxed, DFT GGA+U
# Total magnetic moment = 49.0 μB/cell
# E = -5.966 eV per atom
# Energy above the lowest structure with this stoichiometry = 2.2 meV per atom
# Space-group type = P1
# Energy of formation from the pure elements = -2084 meV/atom
data_Fe10O9F11
_chemical_formula_sum 'Fe10 O9 F11'
_cell_length_a 4.763
_cell_length_b 4.770
_cell_length_c 15.518
_cell_angle_alpha 89.98
_cell_angle_beta 89.96
_cell_angle_gamma 88.72
_symmetry_space_group_name_H-M 'P 1'
_symmetry_Int_Tables_number 1
_symmetry_space_group_name_Hall 'P 1'
loop_
_atom_site_label
_atom_site_type_symbol
_atom_site_fract_x
_atom_site_fract_y
_atom_site_fract_z
Fe1 Fe 0.987 0.012 0.999
O1 O 0.309 0.687 0.199
F1 F 0.800 0.804 0.697
F2 F 0.704 0.295 0.201
O2 O 0.316 0.684 0.402
F3 F 0.702 0.293 0.399
Fe2 Fe 0.050 0.997 0.403
F4 F 0.194 0.200 0.107
O3 O 0.189 0.192 0.699
Fe3 Fe 0.480 0.476 0.702
Fe4 Fe 0.988 0.057 0.599
F5 F 0.810 0.794 0.302
Fe5 Fe 0.456 0.495 0.299
Fe6 Fe 0.489 0.517 0.907
F6 F 0.807 0.805 0.890
O4 O 0.316 0.682 0.799
F7 F 0.804 0.811 0.501
O5 O 0.678 0.323 0.600
F8 F 0.803 0.811 0.109
O6 O 0.685 0.320 0.999
Fe7 Fe 0.490 0.517 0.092
O7 O 0.191 0.199 0.501
O8 O 0.198 0.183 0.301
Fe8 Fe 0.482 0.483 0.500
Fe9 Fe 0.033 0.987 0.206
Fe10 Fe 0.041 0.977 0.794
F9 F 0.290 0.708 0.600
F10 F 0.708 0.288 0.799
O9 O 0.297 0.708 0.999
F11 F 0.200 0.196 0.892

***

Entry 2:
# Li13Co15O28, relaxed, DFT GGA+U
# Total magnetic moment = 50.0 μB/cell
# E = -5.614 eV per atom
# Energy above the lowest structure with this stoichiometry = 51.3 meV per atom
# Space-group type = P-1
# Energy of formation from the pure elements = -1575 meV/atom
data_Li13Co15O28
_chemical_formula_sum 'Li13 Co15 O28'
_cell_length_a 8.334
_cell_length_b 8.771
_cell_length_c 7.730
_cell_angle_alpha 103.78
_cell_angle_beta 105.83
_cell_angle_gamma 103.29
_symmetry_space_group_name_H-M 'P 1'
_symmetry_Int_Tables_number 1
_symmetry_space_group_name_Hall 'P 1'
loop_
_atom_site_label
_atom_site_type_symbol
_atom_site_fract_x
_atom_site_fract_y
_atom_site_fract_z
O1 O 0.399 0.866 0.710
O2 O 0.692 0.586 0.161
O3 O 0.679 0.077 0.659
Co1 Co 0.073 0.430 0.854
O4 O 0.094 0.644 0.784
Co2 Co 0.571 0.930 0.344
O5 O 0.621 0.649 0.792
Li1 Li 0.858 0.143 0.288
O6 O 0.316 0.413 0.854
Co3 Co 0.930 0.574 0.150
O7 O 0.558 0.728 0.439
O8 O 0.329 0.936 0.354
Co4 Co 0.001 0.498 0.513
Li2 Li 0.002 0.000 0.002
Li3 Li 0.141 0.859 0.713
O9 O 0.950 0.780 0.066
O10 O 0.014 0.701 0.418
O11 O 0.172 0.563 0.148
O12 O 0.760 0.516 0.504
O13 O 0.115 0.156 0.293
O14 O 0.028 0.218 0.937
O15 O 0.243 0.493 0.503
Co5 Co 0.144 0.361 0.214
Co6 Co 0.855 0.644 0.782
Co7 Co 0.717 0.784 0.075
O16 O 0.544 0.211 0.921
Li4 Li 0.930 0.070 0.641
O17 O 0.384 0.347 0.209
O18 O 0.893 0.352 0.198
Co8 Co 0.786 0.714 0.429
Co9 Co 0.427 0.067 0.643
Co10 Co 0.357 0.143 0.288
Li5 Li 0.642 0.359 0.216
Li6 Li 0.501 0.499 0.499
O19 O 0.187 0.081 0.648
O20 O 0.969 0.293 0.571
O21 O 0.477 0.785 0.073
O22 O 0.827 0.426 0.874
Li7 Li 0.071 0.929 0.358
Co11 Co 0.786 0.214 0.929
Li8 Li 0.430 0.570 0.144
Li9 Li 0.570 0.428 0.856
O23 O 0.255 0.015 0.003
Li10 Li 0.286 0.714 0.429
Co12 Co 0.215 0.286 0.569
Co13 Co 0.498 0.998 0.003
Li11 Li 0.713 0.286 0.569
O24 O 0.602 0.136 0.287
O25 O 0.456 0.273 0.564
Li12 Li 0.358 0.644 0.785
Co14 Co 0.642 0.854 0.707
O26 O 0.880 0.843 0.696
Co15 Co 0.286 0.214 0.929
O27 O 0.744 0.002 0.983
Li13 Li 0.213 0.785 0.072
O28 O 0.811 0.912 0.353

***

Entry 3:
# K4Mo6Se25O, relaxed, DFT GGA+U
# Total magnetic moment = 0.0 μB/cell
# E = -4.186 eV per atom
# Space-group type = Cm
# Energy of formation from the pure elements = -242 meV/atom
data_K4Mo6Se25O
_chemical_formula_sum 'K4 Mo6 Se25 O1'
_cell_length_a 10.834
_cell_length_b 10.834
_cell_length_c 11.968
_cell_angle_alpha 72.87
_cell_angle_beta 72.87
_cell_angle_gamma 108.23
_symmetry_space_group_name_H-M 'P 1'
_symmetry_Int_Tables_number 1
_symmetry_space_group_name_Hall 'P 1'
loop_
_atom_site_label
_atom_site_type_symbol
_atom_site_fract_x
_atom_site_fract_y
_atom_site_fract_z
Mo1 Mo 0.333 0.142 0.362
Se1 Se 0.757 0.757 0.188
Se2 Se 0.135 0.498 0.688
Se3 Se 0.341 0.341 0.968
Se4 Se 0.166 0.863 0.972
Se5 Se 0.559 0.140 0.862
K1 K 0.479 0.821 0.621
Se6 Se 0.149 0.149 0.761
O1 O 0.149 0.149 0.344
K2 K 0.483 0.820 0.120
Se7 Se 0.434 0.434 0.742
Se8 Se 0.857 0.160 0.453
Mo2 Mo 0.975 0.975 0.507
Se9 Se 0.744 0.744 0.691
K3 K 0.820 0.483 0.120
Se10 Se 0.161 0.966 0.119
Se11 Se 0.132 0.517 0.173
Se12 Se 0.584 0.139 0.346
K4 K 0.821 0.479 0.621
Se13 Se 0.340 0.340 0.451
Se14 Se 0.955 0.161 0.606
Se15 Se 0.140 0.559 0.862
Se16 Se 0.428 0.428 0.223
Se17 Se 0.863 0.166 0.972
Se18 Se 0.498 0.135 0.688
Mo3 Mo 0.990 0.990 0.006
Se19 Se 0.966 0.161 0.119
Se20 Se 0.792 0.792 0.469
Se21 Se 0.139 0.584 0.346
Mo4 Mo 0.142 0.333 0.362
Se22 Se 0.160 0.857 0.453
Se23 Se 0.517 0.132 0.173
Mo5 Mo 0.313 0.150 0.875
Mo6 Mo 0.150 0.313 0.875
Se24 Se 0.805 0.805 0.968
Se25 Se 0.161 0.955 0.606

***

Entry 4:
# Mn3VSn2P6O24, relaxed, DFT GGA+U
# Total magnetic moment = 14.0 μB/cell
# E = -7.229 eV per atom
# Space-group type = R3
# Energy of formation from the pure elements = -2433 meV/atom
data_Mn3VSn2P6O24
_chemical_formula_sum 'Mn3 V1 Sn2 P6 O24'
_cell_length_a 8.875
_cell_length_b 8.875
_cell_length_c 8.875
_cell_angle_alpha 58.95
_cell_angle_beta 58.95
_cell_angle_gamma 58.95
_symmetry_space_group_name_H-M 'P 1'
_symmetry_Int_Tables_number 1
_symmetry_space_group_name_Hall 'P 1'
loop_
_atom_site_label
_atom_site_type_symbol
_atom_site_fract_x
_atom_site_fract_y
_atom_site_fract_z
O1 O 0.753 0.407 0.542
Sn1 Sn 0.995 0.995 0.995
Mn1 Mn 0.652 0.652 0.652
P1 P 0.537 0.951 0.248
O2 O 0.009 0.808 0.618
O3 O 0.010 0.182 0.379
O4 O 0.091 0.314 0.514
P2 P 0.754 0.458 0.053
P3 P 0.458 0.053 0.754
O5 O 0.594 0.441 0.252
V1 V 0.145 0.145 0.145
O6 O 0.267 0.083 0.919
P4 P 0.053 0.754 0.458
O7 O 0.084 0.730 0.927
O8 O 0.477 0.908 0.698
O9 O 0.182 0.379 0.010
O10 O 0.919 0.267 0.083
P5 P 0.248 0.537 0.951
O11 O 0.379 0.010 0.182
P6 P 0.951 0.248 0.537
O12 O 0.698 0.477 0.908
Mn2 Mn 0.851 0.851 0.851
O13 O 0.808 0.618 0.009
O14 O 0.730 0.927 0.084
O15 O 0.252 0.594 0.441
O16 O 0.514 0.091 0.314
O17 O 0.908 0.698 0.477
O18 O 0.314 0.514 0.091
O19 O 0.407 0.542 0.753
O20 O 0.083 0.919 0.267
O21 O 0.542 0.753 0.407
Mn3 Mn 0.349 0.349 0.349
Sn2 Sn 0.499 0.499 0.499
O22 O 0.927 0.084 0.730
O23 O 0.618 0.009 0.808
O24 O 0.441 0.252 0.594